# 1
Entry from Materials Project: a relaxed structure of K2LiH6N3 (PBE).

POSCAR file:
```
K2LiH6N3
1.0
7.004 0.000 0.000
0.000 7.004 0.000
0.000 0.000 12.006
K Li H N
8 4 24 12
Direct
0.000 0.000 0.000 K
0.000 0.000 0.500 K
0.000 0.500 0.153 K
0.000 0.500 0.847 K
0.500 0.000 0.347 K
0.500 0.000 0.653 K
0.500 0.500 0.250 K
0.500 0.500 0.750 K
0.352 0.357 0.500 Li
0.357 0.648 0.000 Li
0.643 0.352 0.000 Li
0.648 0.643 0.500 Li
0.082 0.347 0.373 H
0.082 0.347 0.627 H
0.161 0.182 0.293 H
0.161 0.182 0.707 H
0.182 0.839 0.207 H
0.182 0.839 0.793 H
0.275 0.679 0.433 H
0.275 0.679 0.567 H
0.321 0.275 0.067 H
0.321 0.275 0.933 H
0.347 0.918 0.127 H
0.347 0.918 0.873 H
0.653 0.082 0.127 H
0.653 0.082 0.873 H
0.679 0.725 0.067 H
0.679 0.725 0.933 H
0.725 0.321 0.433 H
0.725 0.321 0.567 H
0.818 0.161 0.207 H
0.818 0.161 0.793 H
0.839 0.818 0.293 H
0.839 0.818 0.707 H
0.918 0.653 0.373 H
0.918 0.653 0.627 H
0.207 0.279 0.351 N
0.207 0.279 0.649 N
0.279 0.793 0.149 N
0.279 0.793 0.851 N
0.293 0.362 0.000 N
0.362 0.707 0.500 N
0.638 0.293 0.500 N
0.707 0.638 0.000 N
0.721 0.207 0.149 N
0.721 0.207 0.851 N
0.793 0.721 0.351 N
0.793 0.721 0.649 N
```

Output
* total DFT energy (no corrections): -217.43 eV for the cell shown
* energy of formation from the pure elements: -0.495 eV/atom

# 2
Entry from Materials Project: a relaxed structure of Na2Ti3Cl8 (PBE).

POSCAR file:
```
Na2Ti3Cl8
1.0
3.481 2.010 6.843
-3.481 2.010 6.843
0.000 -4.020 6.843
Na Ti Cl
2 3 8
Direct
0.000 0.000 0.000 Na
0.329 0.329 0.329 Na
0.097 0.688 0.688 Ti
0.688 0.097 0.688 Ti
0.688 0.688 0.097 Ti
0.065 0.065 0.572 Cl
0.065 0.572 0.065 Cl
0.259 0.259 0.753 Cl
0.259 0.753 0.259 Cl
0.553 0.553 0.553 Cl
0.572 0.065 0.065 Cl
0.739 0.739 0.739 Cl
0.753 0.259 0.259 Cl
```

Output
* total DFT energy (no corrections): -61.24 eV for the cell shown
* excess energy over the best structure of this formula in the dataset: 0 meV/atom
* energy of formation from the pure elements: -1.926 eV/atom

# 3
Entry from Materials Project: a relaxed structure of Li2PrAs2 (PBE).

POSCAR file:
```
Li2PrAs2
1.0
4.309 0.000 0.000
-2.155 3.732 0.000
0.000 0.000 7.059
Li Pr As
2 1 2
Direct
0.333 0.667 0.376 Li
0.667 0.333 0.624 Li
0.000 0.000 0.000 Pr
0.333 0.667 0.754 As
0.667 0.333 0.246 As
```

Output
* total DFT energy (no corrections): -22.29 eV for the cell shown
* energy of formation from the pure elements: -0.874 eV/atom

# 4
Entry from Materials Project: a relaxed structure of PbClF (PBE).

POSCAR file:
```
PbClF
1.0
4.745 0.000 0.000
0.000 5.822 0.000
-0.177 0.000 5.826
Pb Cl F
2 2 2
Direct
0.136 0.000 0.259 Pb
0.864 0.500 0.741 Pb
0.001 0.000 0.761 Cl
0.999 0.500 0.239 Cl
0.371 0.488 0.735 F
0.629 0.988 0.265 F
```

Output
* total DFT energy (no corrections): -24.81 eV for the cell shown
* energy of formation from the pure elements: -1.797 eV/atom